(1)
The following is a PBE calculation of SmGeO3 after structural relaxation, from Materials Project.

Computed properties:
SG ... No. 221
Total energy after the MP2020 corrections ... -7.296 eV per atom

abc: 3.947 3.947 3.947
angles: 90.00 90.00 90.00
Fractional positions:
Sm 0.000 0.000 0.000
Ge 0.500 0.500 0.500
O 0.500 0.500 0.000
O 0.500 0.000 0.500
O 0.000 0.500 0.500

=====

(2)
The following is a PBE calculation of K5Na3Ta2Nb6O24 after structural relaxation, from Materials Project.

Computed properties:
SG ... No. 38
Total energy after the MP2020 corrections ... -8.202 eV per atom

abc: 8.060 8.060 8.058
angles: 90.00 90.00 90.00
Fractional positions:
K 0.750 0.250 0.000
K 0.250 0.250 0.000
K 0.750 0.750 0.000
K 0.250 0.750 0.000
K 0.250 0.750 0.500
Na 0.750 0.250 0.500
Na 0.250 0.250 0.500
Na 0.750 0.750 0.500
Ta 0.000 0.000 0.749
Ta 0.000 0.000 0.251
Nb 0.500 0.000 0.749
Nb 0.500 0.000 0.251
Nb 0.000 0.500 0.749
Nb 0.000 0.500 0.251
Nb 0.500 0.500 0.749
Nb 0.500 0.500 0.251
O 0.000 0.249 0.748
O 0.000 0.249 0.252
O 0.500 0.250 0.748
O 0.500 0.250 0.252
O 0.999 0.751 0.749
O 0.999 0.751 0.251
O 0.501 0.750 0.749
O 0.501 0.750 0.251
O 0.751 0.000 0.748
O 0.751 0.000 0.252
O 0.249 0.001 0.749
O 0.249 0.001 0.251
O 0.750 0.500 0.748
O 0.750 0.500 0.252
O 0.250 0.499 0.749
O 0.250 0.499 0.251
O 0.000 0.000 0.000
O 0.999 0.001 0.500
O 0.500 0.000 0.000
O 0.501 0.001 0.500
O 0.000 0.500 0.000
O 0.999 0.499 0.500
O 0.500 0.500 0.000
O 0.501 0.499 0.500

=====

(3)
The following is a PBE calculation of Al2Cr3CuS8 after structural relaxation, from Materials Project.

Computed properties:
SG ... No. 160
Total energy after the MP2020 corrections ... -6.370 eV per atom

abc: 7.050 7.050 7.050
angles: 60.05 60.05 60.05
Fractional positions:
Al 0.005 0.005 0.005
Al 0.625 0.625 0.625
Cr 0.489 0.004 0.004
Cr 0.004 0.004 0.489
Cr 0.004 0.489 0.004
Cu 0.375 0.375 0.375
S 0.225 0.758 0.758
S 0.758 0.758 0.225
S 0.758 0.225 0.758
S 0.758 0.758 0.758
S 0.774 0.242 0.242
S 0.242 0.242 0.774
S 0.242 0.774 0.242
S 0.241 0.241 0.241

=====

no.,E_form (meV/atom),total energy (eV per atom),theoretical density (g cm⁻³)
1,-2459,-6.8838,7.32
2,-2887,-7.7897,4.97
3,-1110,-6.0823,3.55